## a
# PBE TiS5Cl2O6, optimized geometry
data_TiS5Cl2O6
_symmetry_space_group_name_H-M 'P -1'
_symmetry_Int_Tables_number 2
_symmetry_space_group_name_Hall '-P 1'
_cell_length_a 6.256
_cell_length_b 9.733
_cell_length_c 9.845
_cell_angle_alpha 93.77
_cell_angle_beta 90.76
_cell_angle_gamma 94.94
loop_
_atom_site_label
_atom_site_fract_x
_atom_site_fract_y
_atom_site_fract_z
Ti1 0.238 0.299 0.084
S1 0.070 0.752 0.155
S2 0.077 0.642 0.622
S3 0.241 0.924 0.269
S4 0.405 0.158 0.792
S5 0.407 0.642 0.648
Cl1 0.266 0.958 0.773
Cl2 0.296 0.649 0.373
O1 0.008 0.186 0.981
O2 0.031 0.344 0.241
O3 0.233 0.055 0.200
O4 0.240 0.440 0.004
O5 0.437 0.195 0.942
O6 0.469 0.657 0.799
# V in Å³/atom: 21.28

***

## b
# PBE TiS5Cl2O6, optimized geometry
data_TiS5Cl2O6
_symmetry_space_group_name_H-M 'P -1'
_symmetry_Int_Tables_number 2
_symmetry_space_group_name_Hall '-P 1'
_cell_length_a 8.522
_cell_length_b 8.905
_cell_length_c 11.610
_cell_angle_alpha 94.07
_cell_angle_beta 111.22
_cell_angle_gamma 91.35
loop_
_atom_site_label
_atom_site_fract_x
_atom_site_fract_y
_atom_site_fract_z
Ti1 0.069 0.252 0.165
S1 0.076 0.469 0.684
S2 0.078 0.071 0.748
S3 0.327 0.570 0.168
S4 0.356 0.263 0.512
S5 0.381 0.018 0.139
Cl1 0.136 0.657 0.436
Cl2 0.380 0.229 0.786
O1 0.015 0.616 0.725
O2 0.029 0.066 0.244
O3 0.093 0.764 0.967
O4 0.192 0.444 0.145
O5 0.246 0.133 0.119
O6 0.328 0.265 0.377
# V in Å³/atom: 29.22

***

Most stable one: a, least stable one: b.

***

## a
# PBE SbCl6O2, optimized geometry
data_SbCl6O2
_symmetry_space_group_name_H-M 'I m m m'
_symmetry_Int_Tables_number 71
_symmetry_space_group_name_Hall '-I 2 2'
_cell_length_a 6.900
_cell_length_b 8.255
_cell_length_c 9.678
_cell_angle_alpha 90.00
_cell_angle_beta 90.00
_cell_angle_gamma 90.00
loop_
_atom_site_label
_atom_site_fract_x
_atom_site_fract_y
_atom_site_fract_z
Sb1 0.000 0.000 0.000
Cl1 0.000 0.292 0.000
Cl2 0.243 0.000 0.178
O1 0.000 0.074 0.500
# V in Å³/atom: 30.62

***

## b
# PBE SbCl6O2, optimized geometry
data_SbCl6O2
_symmetry_space_group_name_H-M 'C 1 2/c 1'
_symmetry_Int_Tables_number 15
_symmetry_space_group_name_Hall '-C 2yc'
_cell_length_a 12.829
_cell_length_b 6.438
_cell_length_c 12.858
_cell_angle_alpha 90.00
_cell_angle_beta 113.16
_cell_angle_gamma 90.00
loop_
_atom_site_label
_atom_site_fract_x
_atom_site_fract_y
_atom_site_fract_z
Sb1 0.000 0.000 0.000
Cl1 0.116 0.302 0.067
Cl2 0.119 0.102 0.396
Cl3 0.127 0.190 0.661
O1 0.078 0.448 0.321
# V in Å³/atom: 27.12

***

Most stable one: a, least stable one: b.

***

## a
# PBE SiCl2O, optimized geometry
data_SiCl2O
_symmetry_space_group_name_H-M 'P -1'
_symmetry_Int_Tables_number 2
_symmetry_space_group_name_Hall '-P 1'
_cell_length_a 6.435
_cell_length_b 8.536
_cell_length_c 8.573
_cell_angle_alpha 77.13
_cell_angle_beta 81.96
_cell_angle_gamma 74.02
loop_
_atom_site_label
_atom_site_fract_x
_atom_site_fract_y
_atom_site_fract_z
Si1 0.020 0.328 0.242
Si2 0.104 0.681 0.107
Cl1 0.116 0.140 0.793
Cl2 0.240 0.664 0.593
Cl3 0.269 0.135 0.322
Cl4 0.406 0.714 0.102
O1 0.046 0.693 0.926
O2 0.096 0.500 0.216
# V in Å³/atom: 27.48

***

## b
# PBE SiCl2O, optimized geometry
data_SiCl2O
_symmetry_space_group_name_H-M 'P -1'
_symmetry_Int_Tables_number 2
_symmetry_space_group_name_Hall '-P 1'
_cell_length_a 6.794
_cell_length_b 9.131
_cell_length_c 11.804
_cell_angle_alpha 78.05
_cell_angle_beta 77.78
_cell_angle_gamma 73.37
loop_
_atom_site_label
_atom_site_fract_x
_atom_site_fract_y
_atom_site_fract_z
Si1 0.010 0.004 0.294
Si2 0.015 0.227 0.068
Si3 0.048 0.324 0.289
Cl1 0.188 0.519 0.631
Cl2 0.251 0.689 0.002
Cl3 0.252 0.817 0.322
Cl4 0.262 0.052 0.630
Cl5 0.264 0.200 0.938
Cl6 0.324 0.355 0.306
O1 0.012 0.060 0.152
O2 0.031 0.347 0.150
O3 0.032 0.148 0.349
# V in Å³/atom: 28.22

***

Most stable one: a, least stable one: b.